# PbAu2 PBE optimized geometry
# DFT total energy: -3.488 eV/atom
# calculated volume: 67 Å³/f.u.
data_PbAu2
_cell_length_a 8.333
_cell_length_b 5.690
_cell_length_c 11.374
_cell_angle_alpha 90.00
_cell_angle_beta 90.00
_cell_angle_gamma 90.00
_symmetry_space_group_name_H-M 'P b c n'
_symmetry_Int_Tables_number 60
loop_
_symmetry_equiv_pos_as_xyz
'x,y,z'
'-x,-y,-z'
'-x+1/2,-y+1/2,z+1/2'
'x+1/2,y+1/2,-z+1/2'
'x+1/2,-y+1/2,-z'
'-x+1/2,y+1/2,z'
'-x,y,-z+1/2'
'x,-y,z+1/2'
loop_
_atom_site_label
_atom_site_fract_x
_atom_site_fract_y
_atom_site_fract_z
Pb1 0.127 0.008 0.126
Au1 0.000 0.483 0.250
Au2 0.000 0.500 0.000
Au3 0.228 0.214 0.875



# Er3Pt PBE optimized geometry
# DFT total energy: -5.673 eV/atom
# calculated volume: 107 Å³/f.u.
data_Er3Pt
_cell_length_a 6.967
_cell_length_b 9.468
_cell_length_c 6.486
_cell_angle_alpha 90.00
_cell_angle_beta 90.00
_cell_angle_gamma 90.00
_symmetry_space_group_name_H-M 'P n m a'
_symmetry_Int_Tables_number 62
loop_
_symmetry_equiv_pos_as_xyz
'x,y,z'
'-x,-y,-z'
'-x+1/2,-y,z+1/2'
'x+1/2,y,-z+1/2'
'x+1/2,-y+1/2,-z+1/2'
'-x+1/2,y+1/2,z+1/2'
'-x,y+1/2,-z'
'x,-y+1/2,z'
loop_
_atom_site_label
_atom_site_fract_x
_atom_site_fract_y
_atom_site_fract_z
Er1 0.027 0.250 0.133
Er2 0.181 0.061 0.679
Pt1 0.110 0.750 0.451



| no. | DFT formation energy (kJ/mol of formula units) |
| --- | --- |
| 1 | -20 |
| 2 | -282 |